[1]
# Cr2FeO4, optimized geometry, DFT PBE with a Hubbard U
data_Cr2FeO4
_chemical_formula_sum 'Cr8 Fe4 O16'
_symmetry_space_group_name_H-M 'C m c m'
_symmetry_Int_Tables_number 63
_symmetry_space_group_name_Hall '-C 2c 2'
_cell_length_a 2.9514
_cell_length_b 9.7367
_cell_length_c 9.8602
_cell_angle_alpha 90.00
_cell_angle_beta 90.00
_cell_angle_gamma 90.00
loop_
_atom_site_label
_atom_site_type_symbol
_atom_site_fract_x
_atom_site_fract_y
_atom_site_fract_z
Cr1 Cr 0.0000 0.1328 0.0719
Fe1 Fe 0.0000 0.3849 0.2500
O1 O 0.0000 0.0371 0.2500
O2 O 0.0000 0.2317 0.6118
O3 O 0.0000 0.5000 0.0000
# - excess energy over the best structure of this formula in the dataset (meV/atom) = 130.0
# - size of the total moment (μB per formula unit) = 10.0
# - E_form (eV/atom) = -2.050
# - total energy (eV per cell) = -211.7

[2]
# AlNi3F15, optimized geometry, DFT PBE with a Hubbard U
data_AlNi3F15
_chemical_formula_sum 'Al2 Ni6 F30'
_symmetry_space_group_name_H-M 'P 1 m 1'
_symmetry_Int_Tables_number 6
_cell_length_a 6.2725
_cell_length_b 10.7711
_cell_length_c 8.7480
_cell_angle_alpha 90.00
_cell_angle_beta 105.07
_cell_angle_gamma 90.00
loop_
_symmetry_equiv_pos_as_xyz
'x,y,z'
'x,-y,z'
loop_
_atom_site_label
_atom_site_type_symbol
_atom_site_fract_x
_atom_site_fract_y
_atom_site_fract_z
Al1 Al 0.0000 0.0000 0.0000
Al2 Al 0.1717 0.5000 0.5026
Ni1 Ni 0.5742 0.2465 0.9170
Ni2 Ni 0.5849 0.2509 0.2513
Ni3 Ni 0.5973 0.2538 0.5862
F1 F 0.0188 0.5000 0.0699
F2 F 0.0338 0.5000 0.3070
F3 F 0.1438 0.0000 0.1944
F4 F 0.1467 0.0000 0.4278
F5 F 0.1729 0.0000 0.8842
F6 F 0.3250 0.3346 0.8854
F7 F 0.3455 0.3447 0.1867
F8 F 0.3463 0.3732 0.5451
F9 F 0.4550 0.1696 0.3847
F10 F 0.4626 0.1581 0.7167
F11 F 0.4818 0.1478 0.0841
F12 F 0.6879 0.3537 0.4193
F13 F 0.7097 0.3419 0.7869
F14 F 0.7147 0.3324 0.1180
F15 F 0.8230 0.1569 0.3173
F16 F 0.8245 0.1265 0.9609
F17 F 0.8456 0.1647 0.6167
F18 F 0.9951 0.5000 0.6155
# - excess energy over the best structure of this formula in the dataset (meV/atom) = 0.0
# - size of the total moment (μB per formula unit) = 8.0
# - E_form (eV/atom) = -1.863
# - total energy (eV per cell) = -141.3

[3]
# Sr2CrOsO6, optimized geometry, DFT PBE with a Hubbard U
data_Sr2CrOsO6
_chemical_formula_sum 'Sr12 Cr6 Os6 O36'
_symmetry_space_group_name_H-M 'R -3 m'
_symmetry_Int_Tables_number 166
_symmetry_space_group_name_Hall '-R 3 2"'
_cell_length_a 5.6086
_cell_length_b 5.6086
_cell_length_c 27.4716
_cell_angle_alpha 90.00
_cell_angle_beta 90.00
_cell_angle_gamma 120.00
loop_
_atom_site_label
_atom_site_type_symbol
_atom_site_fract_x
_atom_site_fract_y
_atom_site_fract_z
Sr1 Sr 0.0000 0.0000 0.1239
Sr2 Sr 0.0000 0.0000 0.3740
Cr1 Cr 0.0000 0.0000 0.2485
Os1 Os 0.0000 0.0000 0.0000
Os2 Os 0.0000 0.0000 0.5000
O1 O 0.0019 0.5009 0.6250
O2 O 0.0029 0.5014 0.1253
# - size of the total moment (μB per formula unit) = 0.2
# - E_form (eV/atom) = -2.279
# - total energy (eV per cell) = -423.7